Computed, not measured: a relaxed structure of Ba2Ti5Bi4O18 at the PBE level of DFT.

Cell: 5.587 50.459 5.581 Å, 90.00 91.70 90.00°
Space group Cc (No. 9)
One atom of each set of equivalent atoms:
Ba (0.000, 0.124, 0.000) [4 per cell]
Ba (0.015, 0.291, 0.992) [4 per cell]
Ti (0.000, 0.334, 0.488) [4 per cell]
Ti (0.007, 0.422, 0.506) [4 per cell]
Ti (0.013, 0.251, 0.494) [4 per cell]
Ti (0.017, 0.166, 0.507) [4 per cell]
Ti (0.485, 0.422, 0.001) [4 per cell]
Bi (0.033, 0.475, 0.007) [4 per cell]
Bi (0.034, 0.025, 0.960) [4 per cell]
Bi (0.459, 0.115, 0.525) [4 per cell]
Bi (0.469, 0.294, 0.547) [4 per cell]
O (0.002, 0.371, 0.457) [4 per cell]
O (0.014, 0.210, 0.446) [4 per cell]
O (0.059, 0.129, 0.493) [4 per cell]
O (0.068, 0.290, 0.486) [4 per cell]
O (0.242, 0.413, 0.224) [4 per cell]
O (0.258, 0.087, 0.739) [4 per cell]
O (0.267, 0.499, 0.745) [4 per cell]
O (0.269, 0.001, 0.238) [4 per cell]
O (0.270, 0.170, 0.213) [4 per cell]
O (0.272, 0.416, 0.732) [4 per cell]
O (0.281, 0.085, 0.259) [4 per cell]
O (0.282, 0.171, 0.723) [4 per cell]
O (0.287, 0.249, 0.217) [4 per cell]
O (0.288, 0.330, 0.716) [4 per cell]
O (0.288, 0.331, 0.232) [4 per cell]
O (0.293, 0.250, 0.714) [4 per cell]
O (0.485, 0.457, 0.036) [4 per cell]
O (0.496, 0.044, 0.970) [4 per cell]

- Excess energy over the best structure of this formula in the dataset: 24 meV per atom
- Total energy after the MP2020 corrections: -7.895 eV per atom

Computed, not measured: a relaxed structure of Ho2TiO5 at the PBE level of DFT.

Cell: 4.076 11.005 10.495 Å, 90.00 90.00 90.00°
Space group Cmcm (No. 63)
One atom of each set of equivalent atoms:
Ho (0.000, 0.142, 0.070) [8 per cell]
Ti (0.000, 0.173, 0.750) [4 per cell]
O (0.000, 0.052, 0.624) [8 per cell]
O (0.000, 0.273, 0.250) [4 per cell]
O (0.000, 0.291, 0.592) [8 per cell]

- Excess energy over the best structure of this formula in the dataset: 82 meV per atom
- Total energy after the MP2020 corrections: -9.038 eV per atom

Computed, not measured: a relaxed structure of Ce5GeSb2 at the PBE level of DFT.

Cell: 12.122 9.433 7.997 Å, 90.00 90.00 90.00°
Space group Pnma (No. 62)
One atom of each set of equivalent atoms:
Ce (0.004, 0.250, 0.014) [4 per cell]
Ce (0.056, 0.050, 0.702) [8 per cell]
Ce (0.213, 0.750, 0.354) [4 per cell]
Ce (0.222, 0.250, 0.335) [4 per cell]
Ge (0.025, 0.750, 0.594) [4 per cell]
Sb (0.178, 0.506, 0.074) [8 per cell]

- Total energy after the MP2020 corrections: -6.130 eV per atom

Computed, not measured: a relaxed structure of Dy2SiSeO4 at the PBE level of DFT.

Cell: 6.065 6.984 10.854 Å, 90.00 90.00 90.00°
Space group Pbcm (No. 57)
One atom of each set of equivalent atoms:
Dy (0.110, 0.250, 0.000) [4 per cell]
Dy (0.366, 0.529, 0.250) [4 per cell]
Si (0.385, 0.750, 0.000) [4 per cell]
Se (0.071, 0.630, 0.750) [4 per cell]
O (0.222, 0.569, 0.032) [8 per cell]
O (0.448, 0.240, 0.621) [8 per cell]

- Total energy after the MP2020 corrections: -8.090 eV per atom

Computed, not measured: a relaxed structure of K2RbLuCl6 at the PBE level of DFT.

Cell: 11.347 11.347 11.347 Å, 90.00 90.00 90.00°
Space group Fm-3m (No. 225)
One atom of each set of equivalent atoms:
K (0.250, 0.250, 0.250) [8 per cell]
Rb (0.000, 0.000, 0.000) [4 per cell]
Lu (0.000, 0.000, 0.500) [4 per cell]
Cl (0.000, 0.000, 0.273) [24 per cell]

- Total energy after the MP2020 corrections: -4.290 eV per atom

Computed, not measured: a relaxed structure of LiCuS at the PBE level of DFT.

Cell: 12.289 3.729 3.729 Å, 90.00 90.00 90.00°
Space group Pnma (No. 62)
One atom of each set of equivalent atoms:
Li (0.078, 0.250, 0.250) [4 per cell]
Cu (0.250, 0.250, 0.749) [4 per cell]
S (0.124, 0.750, 0.749) [4 per cell]

- Total energy after the MP2020 corrections: -4.266 eV per atom

Repeat the fifth record exactly.
Computed, not measured: a relaxed structure of K2RbLuCl6 at the PBE level of DFT.

Cell: 11.347 11.347 11.347 Å, 90.00 90.00 90.00°
Space group Fm-3m (No. 225)
One atom of each set of equivalent atoms:
K (0.250, 0.250, 0.250) [8 per cell]
Rb (0.000, 0.000, 0.000) [4 per cell]
Lu (0.000, 0.000, 0.500) [4 per cell]
Cl (0.000, 0.000, 0.273) [24 per cell]

- Total energy after the MP2020 corrections: -4.290 eV per atom

Question: Which value of total energy after the MP2020 corrections does entry 5 give?
Answer: -4.290 eV per atom